Record 1
Below is a geometry-optimized Li7Fe3O8 structure, with properties calculated at the PBE with a Hubbard U level.

a b c (Å): 5.5505 7.7515 10.4627
angles (deg): 68.87 86.04 70.86
Last column: nearest neighbours and their distance in Å.
Element x y z (fractional)
Li1 0.0324 0.2702 0.2776  3 O 1.98-2.21
Li2 0.0400 0.7471 0.2204  2 O 2.03-2.10
Li3 0.0808 0.0786 0.5610  4 O 1.92-2.06
Li4 0.1829 0.5141 0.0537  4 O 1.94-2.05
Li5 0.2152 0.0498 0.0666  3 O 2.02-2.24
Li6 0.2160 0.5470 0.5162  2 O 1.91-2.08
Li7 0.3564 0.8682 0.3344  3 O 1.92-2.06
Li8 0.6436 0.1318 0.6656  3 O 1.92-2.06
Li9 0.7840 0.4530 0.4838  2 O 1.91-2.08
Li10 0.7848 0.9502 0.9334  3 O 2.02-2.24
Li11 0.8171 0.4859 0.9463  4 O 1.94-2.05
Li12 0.9192 0.9214 0.4390  4 O 1.92-2.06
Li13 0.9600 0.2529 0.7796  2 O 2.03-2.10
Li14 0.9676 0.7298 0.7224  3 O 1.98-2.21
Fe1 0.3082 0.8719 0.8542  4 O 1.86-1.95
Fe2 0.4401 0.3119 0.3782  4 O 1.83-2.00
Fe3 0.4476 0.3331 0.8381  4 O 1.81-1.98
Fe4 0.5524 0.6669 0.1619  4 O 1.81-1.98
Fe5 0.5599 0.6881 0.6218  4 O 1.83-2.00
Fe6 0.6918 0.1281 0.1458  4 O 1.86-1.95
O1 0.0138 0.0145 0.2370  1 Fe 1.86, 3 Li 1.99-2.06
O2 0.1324 0.3255 0.4602  1 Fe 1.85, 2 Li 1.91-1.93
O3 0.1493 0.4881 0.8758  1 Fe 1.81, 3 Li 1.94-1.98
O4 0.2338 0.7671 0.0467  2 Fe 1.95-1.98, 2 Li 2.03-2.05
O5 0.2644 0.8501 0.5181  1 Fe 1.83, 3 Li 1.92-1.96
O6 0.3999 0.2868 0.2031  2 Fe 1.89-1.95, 1 Li 1.97
O7 0.4097 0.0911 0.8454  2 Fe 1.93, 1 Li 2.10
O8 0.4235 0.5877 0.3410  2 Fe 1.92-2.00, 2 Li 2.06-2.08
O9 0.5765 0.4123 0.6590  2 Fe 1.92-2.00, 2 Li 2.06-2.08
O10 0.5903 0.9089 0.1546  2 Fe 1.93, 1 Li 2.10
O11 0.6001 0.7132 0.7969  2 Fe 1.89-1.95, 1 Li 1.97
O12 0.7356 0.1499 0.4819  1 Fe 1.83, 3 Li 1.92-1.96
O13 0.7662 0.2329 0.9533  2 Fe 1.95-1.98, 2 Li 2.03-2.05
O14 0.8507 0.5119 0.1242  1 Fe 1.81, 3 Li 1.94-1.98
O15 0.8676 0.6745 0.5398  1 Fe 1.85, 2 Li 1.91-1.93
O16 0.9862 0.9855 0.7630  1 Fe 1.86, 3 Li 1.99-2.06

Results
- Crystal system: triclinic
- Space group: No. 2
- Energy with MP2020 corrections: -225.50 eV/cell
- DFT formation energy: -1.9107 eV per atom
- Total energy: -100.5 eV/f.u.
- Total magnetization: 0.83 μB per atom

=====

Record 2
Below is a geometry-optimized Li5Fe11O16 structure, with properties calculated at the PBE with a Hubbard U level.

a b c (Å): 6.0928 12.0992 10.4846
angles (deg): 90.00 125.51 90.00
Last column: nearest neighbours and their distance in Å.
Element x y z (fractional)
Li1 0.0000 0.0000 0.0000  6 O 2.09-2.22
Li2 0.0000 0.5000 0.5000  6 O 2.09-2.22
Li3 0.0057 0.1267 0.7586  6 O 2.16-2.29
Li4 0.0057 0.3733 0.2586  6 O 2.16-2.29
Li5 0.0072 0.2460 0.9993  6 O 2.09-2.31
Li6 0.0072 0.2540 0.4993  6 O 2.09-2.31
Li7 0.9928 0.7460 0.5007  6 O 2.09-2.31
Li8 0.9928 0.7540 0.0007  6 O 2.09-2.31
Li9 0.9943 0.6267 0.7414  6 O 2.16-2.29
Li10 0.9943 0.8733 0.2414  6 O 2.16-2.29
Fe1 0.0000 0.0000 0.5000  6 O 2.11-2.18
Fe2 0.0000 0.5000 0.0000  6 O 2.11-2.18
Fe3 0.0066 0.6284 0.2583  6 O 2.10-2.27
Fe4 0.0066 0.8716 0.7583  6 O 2.10-2.27
Fe5 0.4876 0.6279 0.7403  6 O 2.02-2.21
Fe6 0.4876 0.8721 0.2403  6 O 2.02-2.21
Fe7 0.4947 0.7492 0.5000  6 O 2.09-2.18
Fe8 0.4947 0.7508 0.0000  6 O 2.09-2.18
Fe9 0.4958 0.1262 0.2455  6 O 2.00-2.10
Fe10 0.4958 0.3738 0.7455  6 O 2.00-2.10
Fe11 0.5000 0.0000 0.0000  6 O 2.08-2.19
Fe12 0.5000 0.0000 0.5000  6 O 2.05-2.07
Fe13 0.5000 0.5000 0.0000  6 O 2.05-2.07
Fe14 0.5000 0.5000 0.5000  6 O 2.08-2.19
Fe15 0.5042 0.6262 0.2545  6 O 2.00-2.10
Fe16 0.5042 0.8738 0.7545  6 O 2.00-2.10
Fe17 0.5053 0.2492 0.0000  6 O 2.09-2.18
Fe18 0.5053 0.2508 0.5000  6 O 2.09-2.18
Fe19 0.5124 0.1279 0.7597  6 O 2.02-2.21
Fe20 0.5124 0.3721 0.2597  6 O 2.02-2.21
Fe21 0.9934 0.1284 0.2417  6 O 2.10-2.27
Fe22 0.9934 0.3716 0.7417  6 O 2.10-2.27
O1 0.2428 0.6242 0.5037  4 Fe 2.02-2.19, 2 Li 2.09-2.11
O2 0.2428 0.8758 0.0037  4 Fe 2.02-2.19, 2 Li 2.09-2.11
O3 0.2600 0.7501 0.2449  4 Fe 2.04-2.20, 2 Li 2.09-2.18
O4 0.2600 0.7499 0.7449  4 Fe 2.04-2.20, 2 Li 2.09-2.18
O5 0.2621 0.1197 0.5005  5 Fe 2.05-2.21, 1 Li 2.24
O6 0.2621 0.3803 0.0005  5 Fe 2.05-2.21, 1 Li 2.24
O7 0.2629 0.0019 0.7465  5 Fe 2.10-2.27, 1 Li 2.23
O8 0.2629 0.4981 0.2465  5 Fe 2.10-2.27, 1 Li 2.23
O9 0.2665 0.2493 0.7456  4 Fe 2.04-2.21, 2 Li 2.10-2.24
O10 0.2665 0.2507 0.2456  4 Fe 2.04-2.21, 2 Li 2.10-2.24
O11 0.2735 0.5008 0.7579  4 Fe 2.07-2.25, 2 Li 2.20-2.21
O12 0.2735 0.9992 0.2579  4 Fe 2.07-2.25, 2 Li 2.20-2.21
O13 0.2745 0.6209 0.0099  4 Fe 2.05-2.18, 1 Li 2.29
O14 0.2745 0.8791 0.5099  4 Fe 2.05-2.18, 1 Li 2.29
O15 0.2771 0.1253 0.0110  3 Fe 2.00-2.09, 3 Li 2.15-2.22
O16 0.2771 0.3747 0.5110  3 Fe 2.00-2.09, 3 Li 2.15-2.22
O17 0.7229 0.6253 0.4890  3 Fe 2.00-2.09, 3 Li 2.15-2.22
O18 0.7229 0.8747 0.9890  3 Fe 2.00-2.09, 3 Li 2.15-2.22
O19 0.7255 0.1209 0.4901  4 Fe 2.05-2.18, 1 Li 2.29
O20 0.7255 0.3791 0.9901  4 Fe 2.05-2.18, 1 Li 2.29
O21 0.7265 0.0008 0.7421  4 Fe 2.07-2.25, 2 Li 2.20-2.21
O22 0.7265 0.4992 0.2421  4 Fe 2.07-2.25, 2 Li 2.20-2.21
O23 0.7335 0.7493 0.7544  4 Fe 2.04-2.21, 2 Li 2.10-2.24
O24 0.7335 0.7507 0.2544  4 Fe 2.04-2.21, 2 Li 2.10-2.24
O25 0.7371 0.5019 0.7535  5 Fe 2.10-2.27, 1 Li 2.23
O26 0.7371 0.9981 0.2535  5 Fe 2.10-2.27, 1 Li 2.23
O27 0.7379 0.6197 0.9995  5 Fe 2.05-2.21, 1 Li 2.24
O28 0.7379 0.8803 0.4995  5 Fe 2.05-2.21, 1 Li 2.24
O29 0.7400 0.2501 0.2551  4 Fe 2.04-2.20, 2 Li 2.09-2.18
O30 0.7400 0.2499 0.7551  4 Fe 2.04-2.20, 2 Li 2.09-2.18
O31 0.7572 0.1242 0.9963  4 Fe 2.02-2.19, 2 Li 2.09-2.11
O32 0.7572 0.3758 0.4963  4 Fe 2.02-2.19, 2 Li 2.09-2.11

Results
- Crystal system: monoclinic
- Space group: No. 14
- Energy with MP2020 corrections: -475.67 eV/cell
- DFT formation energy: -1.7486 eV per atom
- Total energy: -202.0 eV/f.u.
- Total magnetization: 1.53 μB per atom

=====

Record 3
Below is a geometry-optimized Li13Fe2O12 structure, with properties calculated at the PBE with a Hubbard U level.

a b c (Å): 5.5612 5.6258 7.9482
angles (deg): 90.16 91.74 90.29
Last column: nearest neighbours and their distance in Å.
Element x y z (fractional)
Li1 0.0000 0.0000 0.0000  4 O 1.92-2.05
Li2 0.0083 0.3952 0.5731  3 O 1.96-2.06
Li3 0.1007 0.4940 0.8829  4 O 1.92-1.99
Li4 0.2164 0.6695 0.1548  3 O 2.03-2.07
Li5 0.2187 0.7991 0.4374  4 O 1.90-2.02
Li6 0.3332 0.0743 0.6976  4 O 1.91-2.13
Li7 0.4435 0.3195 0.2107  4 O 1.93-2.01
Li8 0.5180 0.4697 0.5191  4 O 1.95-2.09
Li9 0.5602 0.9056 0.0897  4 O 1.89-1.98
Li10 0.6474 0.9923 0.4073  3 O 1.92-2.02
Li11 0.6826 0.3055 0.9101  3 O 1.92-2.01
Li12 0.7999 0.5639 0.1918  4 O 1.93-1.99
Li13 0.8894 0.8701 0.6935  3 O 1.93-2.00
Fe1 0.0286 0.1795 0.2967  6 O 1.91-1.95
Fe2 0.5064 0.6864 0.8053  6 O 1.88-1.95
O1 0.0011 0.3274 0.0795  3 Li 1.92-1.97, 1 Fe 1.92
O2 0.0382 0.0570 0.5209  3 Li 1.90-1.96, 1 Fe 1.91
O3 0.2081 0.8286 0.8552  1 Fe 1.90, 3 Li 1.92-2.00
O4 0.2090 0.4609 0.3638  1 Fe 1.93, 5 Li 1.98-2.09
O5 0.3171 0.0039 0.2429  4 Li 1.93-2.07, 1 Fe 1.95
O6 0.3457 0.4102 0.7289  1 Fe 1.88, 3 Li 1.91-1.98
O7 0.5039 0.8128 0.5841  1 Fe 1.90, 4 Li 1.92-2.00
O8 0.5149 0.5640 0.0348  1 Fe 1.95, 5 Li 1.98-2.03
O9 0.6740 0.9690 0.8728  4 Li 1.89-2.05, 1 Fe 1.91
O10 0.7355 0.3273 0.3597  1 Fe 1.91, 4 Li 1.93-1.99
O11 0.8014 0.5353 0.7497  1 Fe 1.91, 4 Li 1.95-2.00
O12 0.8638 0.8991 0.2185  1 Fe 1.91, 4 Li 1.93-2.02

Results
- Crystal system: triclinic
- Space group: No. 1
- Energy with MP2020 corrections: -150.45 eV/cell
- DFT formation energy: -1.8265 eV per atom
- Total energy: -137.7 eV/f.u.
- Total magnetization: 0.26 μB per atom

=====

Record 4
Below is a geometry-optimized Li8FeO6 structure, with properties calculated at the PBE with a Hubbard U level.

a b c (Å): 5.3403 5.8430 8.3024
angles (deg): 96.20 86.72 90.17
Last column: nearest neighbours and their distance in Å.
Element x y z (fractional)
O1 0.8338 0.2954 0.0643  4 Li 1.92-2.07, 1 Fe 1.95
O2 0.1662 0.7046 0.9357  4 Li 1.92-2.07, 1 Fe 1.95
Fe1 0.0000 0.0000 0.0000  4 O 1.94-1.95
O3 0.6662 0.2046 0.4357  4 Li 1.92-2.07, 1 Fe 1.95
O4 0.7956 0.6605 0.4233  4 Li 1.93-2.11, 1 Fe 1.94
O5 0.6547 0.5041 0.7424  5 Li 1.88-2.05
Li1 0.3084 0.4490 0.7912  4 O 1.90-2.11
Li2 0.1916 0.0510 0.7088  4 O 1.90-2.11
O6 0.8454 0.9959 0.7576  5 Li 1.88-2.05
O7 0.3453 0.4959 0.2576  5 Li 1.88-2.05
O8 0.1546 0.0041 0.2424  5 Li 1.88-2.05
Li3 0.3577 0.7710 0.1282  4 O 1.88-2.03
Li4 0.6651 0.9232 0.5668  4 O 1.91-2.07
Li5 0.6916 0.5510 0.2088  4 O 1.90-2.11
O9 0.2044 0.3395 0.5767  4 Li 1.93-2.11, 1 Fe 1.94
Li6 0.8577 0.2710 0.6282  4 O 1.88-2.03
Li7 0.1423 0.7290 0.3718  4 O 1.88-2.03
O10 0.7044 0.8395 0.0767  4 Li 1.93-2.11, 1 Fe 1.94
Fe2 0.5000 0.5000 0.5000  4 O 1.94-1.95
Li8 0.8349 0.5768 0.9332  4 O 1.91-2.07
Li9 0.4757 0.1800 0.1555  4 O 2.05-2.20
Li10 0.8084 0.9490 0.2912  4 O 1.90-2.11
Li11 0.9757 0.6800 0.6555  4 O 2.05-2.20
Li12 0.6423 0.2290 0.8718  4 O 1.88-2.03
Li13 0.3349 0.0768 0.4332  4 O 1.91-2.07
Li14 0.0243 0.3200 0.3445  4 O 2.05-2.20
Li15 0.1651 0.4232 0.0668  4 O 1.91-2.07
Li16 0.5243 0.8200 0.8445  4 O 2.05-2.20
O11 0.3338 0.7954 0.5643  4 Li 1.92-2.07, 1 Fe 1.95
O12 0.2956 0.1605 0.9233  4 Li 1.93-2.11, 1 Fe 1.94

Results
- Energy with MP2020 corrections: -165.79 eV/cell
- DFT formation energy: -1.9644 eV per atom
- Total energy: -76.5 eV/f.u.
- Total magnetization: 0.00 μB per atom

=====

> Which of these has the lowest total magnetization?

Li8FeO6

=====

> Which value of total energy does entry 3 give?

-137.7 eV/f.u.